P | The following is a DFT calculation (PBE) of Sb5S3O5 after structural relaxation.

```
data_Sb5S3O5
_chemical_formula_sum 'Sb20 S12 O20'
_cell_length_a 5.833
_cell_length_b 13.582
_cell_length_c 16.754
_cell_angle_alpha 67.52
_cell_angle_beta 80.14
_cell_angle_gamma 77.79
_symmetry_space_group_name_H-M 'P 1'
_symmetry_Int_Tables_number 1
loop_
_symmetry_equiv_pos_as_xyz
'x,y,z'
loop_
_atom_site_label
_atom_site_fract_x
_atom_site_fract_y
_atom_site_fract_z
Sb1 0.000 0.000 0.000
Sb2 0.003 0.190 0.302
Sb3 0.046 0.394 0.891
Sb4 0.141 0.244 0.672
Sb5 0.172 0.742 0.172
Sb6 0.179 0.627 0.016
Sb7 0.232 0.501 0.499
Sb8 0.237 0.384 0.344
Sb9 0.263 0.884 0.844
Sb10 0.357 0.733 0.625
Sb11 0.405 0.936 0.214
Sb12 0.407 0.127 0.517
Sb13 0.512 0.233 0.125
Sb14 0.574 0.088 0.843
Sb15 0.669 0.436 0.714
Sb16 0.685 0.540 0.173
Sb17 0.728 0.587 0.344
Sb18 0.733 0.691 0.803
Sb19 0.834 0.040 0.673
Sb20 0.895 0.893 0.391
S1 0.022 0.503 0.734
S2 0.127 0.342 0.123
S3 0.279 0.782 0.392
S4 0.380 0.625 0.783
S5 0.442 0.125 0.282
S6 0.450 0.094 0.072
S7 0.615 0.594 0.573
S8 0.632 0.845 0.621
S9 0.774 0.281 0.895
S10 0.789 0.533 0.944
S11 0.963 0.032 0.443
S12 0.968 0.003 0.233
O1 0.028 0.272 0.373
O2 0.052 0.461 0.425
O3 0.084 0.769 0.931
O4 0.115 0.166 0.591
O5 0.292 0.962 0.924
O6 0.322 0.360 0.587
O7 0.358 0.667 0.091
O8 0.381 0.854 0.143
O9 0.445 0.269 0.431
O10 0.515 0.630 0.242
O11 0.516 0.486 0.419
O12 0.554 0.772 0.874
O13 0.563 0.996 0.775
O14 0.599 0.141 0.597
O15 0.809 0.986 0.919
O16 0.847 0.131 0.742
O17 0.850 0.354 0.643
O18 0.896 0.496 0.275
O19 0.898 0.640 0.098
O20 0.964 0.858 0.085
```

- Magnetization: 2.29 μB per cell

Q | The following is a DFT calculation (PBE) of Sb5S3O5 after structural relaxation.

```
data_Sb5S3O5
_chemical_formula_sum 'Sb20 S12 O20'
_cell_length_a 5.833
_cell_length_b 13.592
_cell_length_c 16.763
_cell_angle_alpha 67.47
_cell_angle_beta 79.98
_cell_angle_gamma 77.61
_symmetry_space_group_name_H-M 'P 1'
_symmetry_Int_Tables_number 1
loop_
_symmetry_equiv_pos_as_xyz
'x,y,z'
loop_
_atom_site_label
_atom_site_fract_x
_atom_site_fract_y
_atom_site_fract_z
Sb1 0.000 0.000 0.000
Sb2 0.001 0.888 0.845
Sb3 0.030 0.388 0.345
Sb4 0.125 0.232 0.126
Sb5 0.168 0.442 0.714
Sb6 0.176 0.631 0.017
Sb7 0.280 0.732 0.626
Sb8 0.336 0.592 0.344
Sb9 0.439 0.942 0.214
Sb10 0.448 0.039 0.673
Sb11 0.491 0.092 0.844
Sb12 0.500 0.189 0.303
Sb13 0.603 0.539 0.173
Sb14 0.659 0.399 0.891
Sb15 0.763 0.500 0.500
Sb16 0.771 0.689 0.803
Sb17 0.814 0.899 0.391
Sb18 0.909 0.743 0.173
Sb19 0.938 0.243 0.673
Sb20 0.939 0.131 0.517
S1 0.047 0.281 0.893
S2 0.149 0.128 0.283
S3 0.202 0.628 0.783
S4 0.208 0.600 0.573
S5 0.379 0.093 0.073
S6 0.403 0.341 0.123
S7 0.541 0.781 0.393
S8 0.557 0.031 0.444
S9 0.731 0.531 0.944
S10 0.737 0.502 0.734
S11 0.790 0.002 0.234
S12 0.892 0.849 0.624
O1 0.056 0.465 0.425
O2 0.091 0.859 0.087
O3 0.123 0.165 0.592
O4 0.143 0.359 0.644
O5 0.213 0.772 0.930
O6 0.275 0.136 0.741
O7 0.284 0.986 0.920
O8 0.322 0.272 0.373
O9 0.328 0.495 0.276
O10 0.366 0.645 0.098
O11 0.573 0.486 0.420
O12 0.611 0.636 0.241
O13 0.617 0.859 0.144
O14 0.655 0.145 0.598
O15 0.664 0.995 0.776
O16 0.726 0.359 0.587
O17 0.796 0.772 0.873
O18 0.816 0.965 0.925
O19 0.848 0.272 0.430
O20 0.883 0.665 0.092
```

- Magnetization: 0.05 μB per cell

Of the structures shown above, P is the most stable.